# 1
LiMnP3HO10 | GGA+U | relaxed

Output
The calculation puts the raw total energy at -6.873 eV/atom. Its formation energy is -2.40 eV/atom. The calculation puts the polymorph energy (0 for the lowest one) at 33 meV per atom. The symmetry is P1, No. 1.

Geometry as extended XYZ:
```
32
Lattice="-2.557 2.043 6.725 8.322 -4.023 1.620 1.154 7.303 1.362" Properties=species:S:1:pos:R:3 pbc="T T T"
O -0.628 4.961 6.704
O 6.215 -1.550 4.957
O 5.125 -0.558 7.302
O 7.551 1.934 3.545
O 3.823 6.457 8.938
O 0.361 3.796 4.083
O 1.358 5.133 8.184
O 6.592 -1.425 2.465
O -0.787 2.258 6.114
O 1.248 6.081 3.346
O 0.576 7.181 6.812
O 5.431 0.496 3.582
O 3.551 1.438 6.840
O 1.535 1.319 5.417
O 6.423 1.366 5.778
O 4.231 -1.730 3.479
O 5.229 2.876 4.242
O 2.965 -1.297 0.924
O 1.735 5.257 5.691
O 2.816 4.080 3.796
Mn 6.959 -0.283 6.619
Mn 4.654 4.358 3.125
H 2.670 1.405 6.192
H 0.370 6.046 2.699
P 1.523 4.789 4.146
P 0.733 5.604 6.885
P 6.251 1.739 4.289
P 5.590 -1.081 3.658
P 3.828 0.148 7.643
P 0.236 1.122 6.162
Li 2.201 1.978 1.814
Li 5.658 4.619 6.659
```


# 2
LiVFeP2O8F2 | GGA+U | relaxed

Output
The calculation puts the raw total energy at -6.844 eV/atom. Its formation energy is -2.62 eV/atom. The calculation puts the polymorph energy (0 for the lowest one) at 0 meV per atom.

Geometry as extended XYZ:
```
30
Lattice="-3.494 3.699 -0.841 -6.294 -1.693 3.607 2.061 2.373 9.992" Properties=species:S:1:pos:R:3 pbc="T T T"
P -5.575 3.705 3.945
P -1.773 2.157 1.592
P -5.636 4.346 7.971
P -5.944 2.196 11.165
O -6.731 3.300 8.147
O -6.694 -0.196 4.874
O -5.793 2.780 2.757
O -2.570 1.621 7.639
O -1.986 1.639 9.986
O 0.861 2.977 8.749
O -4.905 3.284 10.912
O -1.617 3.149 2.766
O -2.868 1.110 1.768
O -6.163 1.271 9.977
O -5.063 2.793 5.137
O -8.495 1.437 4.026
O -4.263 3.686 7.647
O -1.042 1.095 4.533
O -1.015 4.457 8.075
O -3.445 0.573 5.303
V -4.219 0.688 13.572
V -3.850 2.197 6.352
F -2.795 4.934 9.992
F -5.226 1.052 7.220
F -2.513 3.290 5.510
F -4.943 -0.594 2.738
Fe -3.173 -0.831 1.834
Fe -0.743 3.052 4.605
Li -2.607 3.331 8.909
Li -5.038 -0.552 6.137
```


# 3
Fe2S2O17 | GGA+U | relaxed

Output
The calculation puts the raw total energy at -5.534 eV/atom. Its formation energy is -0.54 eV/atom. The symmetry is P-1, No. 2.

Geometry as extended XYZ:
```
42
Lattice="-2.634 1.357 -6.642 -6.499 -6.140 0.245 -9.381 3.956 3.686" Properties=species:S:1:pos:R:3 pbc="T T T"
O -9.056 1.019 -4.162
O -10.523 2.663 2.417
O -11.743 -2.267 -0.548
O -16.337 -1.382 -1.523
O -2.176 0.556 -1.189
O -10.330 3.182 -0.029
O -7.991 -3.489 -5.129
O -4.560 -0.617 0.920
O -5.804 0.622 -2.378
O -12.710 -1.448 -0.334
O -12.043 3.585 -1.720
O -9.710 0.383 -0.392
O -6.779 2.560 -2.797
O -11.655 -0.084 -2.834
O -6.770 1.441 -2.164
O -5.944 -1.858 -3.912
O -10.640 -3.194 -4.008
O -12.570 1.032 1.200
O -8.564 -3.279 -0.388
O -6.471 -4.411 -0.991
O -14.139 -2.598 1.819
O -9.949 2.453 -2.324
O -7.873 2.368 1.296
O -8.184 -4.008 -2.683
O -8.804 -1.209 -2.320
O -4.374 1.772 -4.531
O -6.858 -0.742 0.122
O -13.953 -0.209 -3.631
O -13.164 1.193 2.263
O -11.734 -3.386 0.086
O -5.350 -2.019 -4.975
O -8.655 -1.161 -5.153
O -9.859 0.335 2.441
O -9.458 -1.845 1.450
S -12.623 0.198 -3.969
S -5.891 -1.024 1.257
S -10.622 3.519 -1.503
S -7.891 -4.345 -1.209
Fe -8.675 -1.318 -0.322
Fe -9.838 0.492 -2.389
Fe -10.148 1.643 1.044
Fe -8.365 -2.469 -3.756
```


# 4
Mn6O5F7 | GGA+U | relaxed

Output
The calculation puts the raw total energy at -6.660 eV/atom. Its formation energy is -2.41 eV/atom. The calculation puts the polymorph energy (0 for the lowest one) at 27 meV per atom. The symmetry is P1, No. 1.

Geometry as extended XYZ:
```
36
Lattice="5.113 0.000 0.000 -0.012 5.761 0.000 -0.871 -0.229 14.497" Properties=species:S:1:pos:R:3 pbc="T T T"
F 3.088 0.908 3.722
F 0.065 0.660 11.060
F 0.586 1.688 8.631
F 1.094 4.897 13.223
F 3.822 4.940 6.123
F 0.591 5.116 3.535
F 3.639 0.472 13.337
F 0.637 2.267 3.681
F 3.689 1.957 1.199
F 1.387 0.775 5.935
F 3.026 0.534 8.333
F 0.276 3.475 10.834
F 1.201 0.537 1.153
F 2.670 4.990 10.874
O 3.160 3.774 3.450
O 0.983 1.926 13.147
O 3.387 3.592 8.550
O 2.812 1.956 11.084
O 1.115 3.742 1.044
O 3.936 2.117 5.905
O 0.827 4.367 8.506
O 3.677 4.618 1.158
O 3.567 3.432 13.399
O 1.332 3.615 6.166
Mn 2.354 2.570 4.891
Mn -0.694 2.233 12.170
Mn 4.774 0.592 4.901
Mn 1.876 3.073 9.679
Mn 2.277 5.180 2.420
Mn 1.900 3.066 14.421
Mn 1.902 0.579 12.087
Mn -0.247 3.068 7.311
Mn 2.158 4.981 7.213
Mn 4.361 5.259 9.538
Mn -0.646 4.831 14.432
Mn 4.688 3.333 2.339
```


Q: What is the raw total energy in the second record?
A: -6.844 eV/atom